## LaAgPb (PBE)

Data for a geometry-optimized LaAgPb structure.

Output
Its formation energy is -0.278 eV per atom.

Cell: 8.694 4.940 8.347 Å, 90.00 90.26 90.00°
Space group C2/m (No. 12)
Symmetry-distinct sites (fractional):
La 0.001 0.000 0.226 (multiplicity 4)
Ag 0.166 0.500 0.987 (multiplicity 4)
Pb 0.167 0.500 0.553 (multiplicity 4)

## SmHoTl2 (PBE)

Data for a geometry-optimized SmHoTl2 structure.

Output
Its formation energy is -0.351 eV per atom.

Cell: 7.650 7.650 7.650 Å, 90.00 90.00 90.00°
Space group Fm-3m (No. 225)
Symmetry-distinct sites (fractional):
Sm 0.000 0.000 0.000 (multiplicity 4)
Ho 0.000 0.000 0.500 (multiplicity 4)
Tl 0.250 0.250 0.250 (multiplicity 8)

## La2MgSe4 (PBE)

Data for a geometry-optimized La2MgSe4 structure.

Output
Its formation energy is -2.029 eV per atom. The value obtained for the energy above the most stable polymorph in this dataset is 0.000 eV/atom.

Cell: 14.896 8.746 6.974 Å, 90.00 90.00 90.00°
Space group Pnma (No. 62)
Symmetry-distinct sites (fractional):
La 0.000 0.000 0.000 (multiplicity 4)
La 0.232 0.250 0.499 (multiplicity 4)
Mg 0.093 0.750 0.582 (multiplicity 4)
Se 0.066 0.250 0.258 (multiplicity 4)
Se 0.093 0.750 0.216 (multiplicity 4)
Se 0.168 0.518 0.751 (multiplicity 8)

## SbICl2F6 (PBE)

Data for a geometry-optimized SbICl2F6 structure.

Output
Its formation energy is -1.891 eV per atom.

Cell: 10.931 12.274 13.247 Å, 90.00 90.00 90.00°
Space group Cmce (No. 64)
Symmetry-distinct sites (fractional):
Sb 0.000 0.205 0.058 (multiplicity 8)
I 0.250 0.092 0.750 (multiplicity 8)
Cl 0.164 0.031 0.359 (multiplicity 16)
F 0.000 0.071 0.130 (multiplicity 8)
F 0.000 0.154 0.495 (multiplicity 8)
F 0.124 0.240 0.652 (multiplicity 16)
F 0.126 0.157 0.970 (multiplicity 16)

## MoI3 (PBE)

Data for a geometry-optimized MoI3 structure.

Output
Its formation energy is -0.259 eV per atom.

Cell: 10.9188 10.9188 3.7194 Å, 90.00 90.00 120.00°
Space group P6_3/mmc (No. 194)
Symmetry-distinct sites (fractional):
Mo 0.3333 0.6667 0.2500 (multiplicity 2)
I 0.2205 0.4410 0.7500 (multiplicity 6)

## VB2S4 (PBE)

Data for a geometry-optimized VB2S4 structure.

Output
Its formation energy is -0.298 eV per atom.

Cell: 11.477 3.061 6.560 Å, 90.00 108.79 90.00°
Space group C2/m (No. 12)
Symmetry-distinct sites (fractional):
V 0.000 0.000 0.000 (multiplicity 2)
B 0.221 0.000 0.142 (multiplicity 4)
S 0.115 0.500 0.266 (multiplicity 4)
S 0.157 0.000 0.820 (multiplicity 4)

Repeat the fourth record exactly.
## SbICl2F6 (PBE)

Data for a geometry-optimized SbICl2F6 structure.

Output
Its formation energy is -1.891 eV per atom.

Cell: 10.931 12.274 13.247 Å, 90.00 90.00 90.00°
Space group Cmce (No. 64)
Symmetry-distinct sites (fractional):
Sb 0.000 0.205 0.058 (multiplicity 8)
I 0.250 0.092 0.750 (multiplicity 8)
Cl 0.164 0.031 0.359 (multiplicity 16)
F 0.000 0.071 0.130 (multiplicity 8)
F 0.000 0.154 0.495 (multiplicity 8)
F 0.124 0.240 0.652 (multiplicity 16)
F 0.126 0.157 0.970 (multiplicity 16)